Crystalline SrCaAlBiO6 at its relaxed geometry. Source: Materials Project, functional GGA-PBE.

- Theoretical density: 5.96 g/cm³
- Total energy: -6.275 eV per atom
- Formation energy from the elements: -2.58 eV/atom
- Space-group type: F-43m, No. 216

Lattice parameters (Å, degrees): 5.658 5.658 5.658 60.00 60.00 60.00
Fractional coordinates of all 10 atoms:
Sr1 0.750 0.750 0.750
Ca1 0.250 0.250 0.250
Al1 0.000 0.000 0.000
Bi1 0.500 0.500 0.500
O1 0.761 0.239 0.239
O2 0.239 0.761 0.761
O3 0.761 0.239 0.761
O4 0.239 0.761 0.239
O5 0.761 0.761 0.239
O6 0.239 0.239 0.761

***

Crystalline Zn2TeO at its relaxed geometry. Source: Materials Project, functional GGA-PBE.

- Theoretical density: 5.63 g/cm³
- Total energy: -3.257 eV per atom
- Formation energy from the elements: -0.78 eV/atom
- Space-group type: R3m, No. 160

Lattice parameters (Å, degrees): 3.810 3.810 6.801 73.73 90.00 120.00
Fractional coordinates of all 4 atoms:
Zn1 0.019 0.038 0.942
Zn2 0.476 0.952 0.571
Te1 0.880 0.760 0.361
O1 0.375 0.750 0.875

***

Crystalline Re3Ir at its relaxed geometry. Source: Materials Project, functional GGA-PBE.

- Theoretical density: 20.87 g/cm³
- Total energy: -11.630 eV per atom
- Formation energy from the elements: -0.09 eV/atom
- Space-group type: I4/mmm, No. 139

Lattice parameters (Å, degrees): 4.794 4.794 4.794 131.95 131.95 70.31
Fractional coordinates of all 4 atoms:
Re1 0.750 0.250 0.500
Re2 0.250 0.750 0.500
Re3 0.500 0.500 0.000
Ir1 0.000 0.000 0.000

***

Crystalline Li3MnN2 at its relaxed geometry. Source: Materials Project, functional GGA-PBE.

- Theoretical density: 3.22 g/cm³
- Total energy: -5.685 eV per atom
- Formation energy from the elements: -0.55 eV/atom
- ΔE to the lowest computed polymorph: 0.0 meV per atom
- Space-group type: Ia-3, No. 206

Lattice parameters (Å, degrees): 8.223 9.495 9.495 90.00 125.26 54.74
Fractional coordinates of all 48 atoms:
Li1 0.219 0.041 0.980
Li2 0.781 0.760 0.520
Li3 0.781 0.459 0.762
Li4 0.219 0.740 0.738
Li5 0.258 0.762 0.280
Li6 0.742 0.738 0.021
Li7 0.258 0.980 0.479
Li8 0.742 0.520 0.220
Li9 0.699 0.021 0.740
Li10 0.699 0.280 0.459
Li11 0.301 0.220 0.760
Li12 0.301 0.479 0.041
Li13 0.781 0.959 0.020
Li14 0.219 0.240 0.480
Li15 0.219 0.541 0.238
Li16 0.781 0.260 0.262
Li17 0.742 0.238 0.720
Li18 0.258 0.262 0.979
Li19 0.742 0.020 0.521
Li20 0.258 0.480 0.780
Li21 0.301 0.979 0.260
Li22 0.301 0.720 0.541
Li23 0.699 0.780 0.240
Li24 0.699 0.521 0.959
Mn1 0.227 0.000 0.727
Mn2 0.773 0.727 0.773
Mn3 0.773 0.500 0.500
Mn4 0.227 0.773 0.000
Mn5 0.773 0.000 0.273
Mn6 0.227 0.273 0.227
Mn7 0.227 0.500 0.500
Mn8 0.773 0.227 0.000
N1 0.000 0.000 0.500
N2 0.000 0.500 0.000
N3 0.000 0.500 0.500
N4 0.000 0.000 0.000
N5 0.500 0.966 0.750
N6 0.500 0.534 0.250
N7 0.000 0.250 0.716
N8 0.000 0.750 0.784
N9 0.568 0.716 0.534
N10 0.432 0.784 0.966
N11 0.500 0.034 0.250
N12 0.500 0.466 0.750
N13 0.000 0.750 0.284
N14 0.000 0.250 0.216
N15 0.432 0.284 0.466
N16 0.568 0.216 0.034

***

Crystalline Ho2TlZn at its relaxed geometry. Source: Materials Project, functional GGA-PBE.

- Theoretical density: 10.02 g/cm³
- Total energy: -3.524 eV per atom
- Formation energy from the elements: -0.33 eV/atom
- Space-group type: Fm-3m, No. 225

Lattice parameters (Å, degrees): 5.199 5.199 5.199 60.00 60.00 60.00
Fractional coordinates of all 4 atoms:
Ho1 0.750 0.750 0.750
Ho2 0.250 0.250 0.250
Tl1 0.500 0.500 0.500
Zn1 0.000 0.000 0.000

***

Crystalline Co3Re25B12 at its relaxed geometry. Source: Materials Project, functional GGA-PBE.

- Theoretical density: 17.35 g/cm³
- Total energy: -10.550 eV per atom
- Formation energy from the elements: -0.23 eV/atom
- Space-group type: Pm, No. 6

Lattice parameters (Å, degrees): 7.438 4.944 12.917 89.88 90.00 90.00
Fractional coordinates of all 40 atoms:
Co1 0.500 0.430 0.335
Co2 0.000 0.433 0.834
Co3 0.000 0.928 0.166
Re1 0.818 0.459 0.227
Re2 0.314 0.457 0.728
Re3 0.182 0.459 0.227
Re4 0.686 0.457 0.728
Re5 0.000 0.456 0.045
Re6 0.500 0.451 0.543
Re7 0.684 0.958 0.271
Re8 0.179 0.952 0.775
Re9 0.316 0.958 0.271
Re10 0.821 0.952 0.775
Re11 0.500 0.952 0.450
Re12 0.000 0.956 0.957
Re13 0.500 0.912 0.666
Re14 0.185 0.249 0.437
Re15 0.685 0.248 0.939
Re16 0.815 0.249 0.437
Re17 0.315 0.248 0.939
Re18 0.500 0.252 0.124
Re19 0.000 0.248 0.625
Re20 0.314 0.749 0.063
Re21 0.816 0.749 0.560
Re22 0.686 0.749 0.063
Re23 0.184 0.749 0.560
Re24 0.000 0.750 0.374
Re25 0.500 0.749 0.879
B1 0.208 0.148 0.098
B2 0.715 0.158 0.595
B3 0.792 0.148 0.098
B4 0.285 0.158 0.595
B5 0.000 0.146 0.304
B6 0.500 0.156 0.809
B7 0.291 0.646 0.402
B8 0.792 0.647 0.905
B9 0.709 0.646 0.402
B10 0.208 0.647 0.905
B11 0.500 0.647 0.195
B12 0.000 0.646 0.695

***

Crystalline AgPbBrO at its relaxed geometry. Source: Materials Project, functional GGA-PBE.

- Theoretical density: 5.91 g/cm³
- Total energy: -3.987 eV per atom
- Formation energy from the elements: -0.88 eV/atom
- Space-group type: P4/nmm, No. 129

Lattice parameters (Å, degrees): 4.027 4.027 14.242 90.00 90.00 90.00
Fractional coordinates of all 8 atoms:
Ag1 0.500 0.000 0.408
Ag2 0.000 0.500 0.592
Pb1 0.000 0.500 0.085
Pb2 0.500 0.000 0.915
Br1 0.000 0.500 0.386
Br2 0.500 0.000 0.614
O1 0.000 0.000 0.000
O2 0.500 0.500 0.000

***

Crystalline K6PdSe20 at its relaxed geometry. Source: Materials Project, functional GGA-PBE.

- Theoretical density: 3.59 g/cm³
- Total energy: -3.522 eV per atom
- Formation energy from the elements: -0.84 eV/atom
- Space-group type: Pbcn, No. 60

Lattice parameters (Å, degrees): 12.802 14.274 19.447 90.00 90.00 90.00
Fractional coordinates of all 108 atoms:
K1 0.000 0.987 0.750
K2 0.000 0.013 0.250
K3 0.500 0.487 0.750
K4 0.500 0.804 0.750
K5 0.353 0.206 0.999
K6 0.000 0.696 0.250
K7 0.000 0.304 0.750
K8 0.000 0.000 0.000
K9 0.147 0.706 0.999
K10 0.500 0.513 0.250
K11 0.500 0.500 0.000
K12 0.853 0.294 0.001
K13 0.500 0.165 0.750
K14 0.000 0.000 0.500
K15 0.500 0.835 0.250
K16 0.500 0.500 0.500
K17 0.147 0.294 0.499
K18 0.647 0.794 0.001
K19 0.000 0.335 0.250
K20 0.000 0.665 0.750
K21 0.647 0.206 0.501
K22 0.853 0.706 0.501
K23 0.500 0.196 0.250
K24 0.353 0.794 0.499
Pd1 0.500 0.000 0.500
Pd2 0.500 0.000 0.000
Pd3 0.000 0.500 0.500
Pd4 0.000 0.500 0.000
Se1 0.255 0.951 0.878
Se2 0.190 0.487 0.161
Se3 0.257 0.369 0.710
Se4 0.613 0.695 0.604
Se5 0.562 0.650 0.874
Se6 0.245 0.451 0.878
Se7 0.342 0.729 0.127
Se8 0.887 0.195 0.604
Se9 0.938 0.150 0.874
Se10 0.245 0.549 0.378
Se11 0.690 0.013 0.839
Se12 0.986 0.484 0.874
Se13 0.484 0.328 0.879
Se14 0.984 0.828 0.621
Se15 0.014 0.484 0.626
Se16 0.755 0.549 0.122
Se17 0.191 0.530 0.493
Se18 0.310 0.013 0.661
Se19 0.810 0.487 0.339
Se20 0.190 0.513 0.661
Se21 0.691 0.030 0.007
Se22 0.755 0.451 0.622
Se23 0.310 0.987 0.161
Se24 0.387 0.695 0.896
Se25 0.809 0.470 0.507
Se26 0.514 0.984 0.874
Se27 0.255 0.049 0.378
Se28 0.438 0.650 0.626
Se29 0.809 0.530 0.007
Se30 0.516 0.328 0.621
Se31 0.191 0.470 0.993
Se32 0.728 0.394 0.173
Se33 0.228 0.106 0.827
Se34 0.438 0.350 0.126
Se35 0.486 0.016 0.126
Se36 0.772 0.106 0.673
Se37 0.243 0.131 0.210
Se38 0.728 0.606 0.673
Se39 0.342 0.271 0.627
Se40 0.272 0.606 0.827
Se41 0.486 0.984 0.626
Se42 0.842 0.229 0.373
Se43 0.016 0.172 0.379
Se44 0.690 0.987 0.339
Se45 0.986 0.516 0.374
Se46 0.062 0.850 0.126
Se47 0.757 0.131 0.290
Se48 0.016 0.828 0.879
Se49 0.745 0.049 0.122
Se50 0.691 0.970 0.507
Se51 0.658 0.729 0.373
Se52 0.158 0.771 0.627
Se53 0.113 0.805 0.396
Se54 0.014 0.516 0.126
Se55 0.272 0.394 0.327
Se56 0.938 0.850 0.374
Se57 0.309 0.030 0.493
Se58 0.810 0.513 0.839
Se59 0.062 0.150 0.626
Se60 0.772 0.894 0.173
Se61 0.228 0.894 0.327
Se62 0.113 0.195 0.896
Se63 0.984 0.172 0.121
Se64 0.745 0.951 0.622
Se65 0.757 0.869 0.790
Se66 0.887 0.805 0.104
Se67 0.613 0.305 0.104
Se68 0.562 0.350 0.374
Se69 0.658 0.271 0.873
Se70 0.243 0.869 0.710
Se71 0.842 0.771 0.873
Se72 0.514 0.016 0.374
Se73 0.484 0.672 0.379
Se74 0.516 0.672 0.121
Se75 0.158 0.229 0.127
Se76 0.257 0.631 0.210
Se77 0.309 0.970 0.993
Se78 0.743 0.631 0.290
Se79 0.743 0.369 0.790
Se80 0.387 0.305 0.396